Record 1
# BaZnSe2O6 (GGA-PBE, relaxed)
# DFT formation energy	-185	kJ per mole of atoms
# spin magnetization	0.00	μB per cell
# volume	689.6	Å³ per cell
# energy above the lowest structure with this stoichiometry	0.0	meV/atom
data_BaZnSe2O6
_chemical_formula_sum 'Ba4 Zn4 Se8 O24'
_cell_length_a 5.654
_cell_length_b 16.780
_cell_length_c 8.696
_cell_angle_alpha 90.00
_cell_angle_beta 123.30
_cell_angle_gamma 90.00
_space_group_name_H-M_alt 'P 1 21/c 1'
_space_group_IT_number 14
loop_
_space_group_symop_operation_xyz
'x,y,z'
'-x,-y,-z'
'-x,y+1/2,-z+1/2'
'x,-y+1/2,z+1/2'
loop_
_atom_site_label
_atom_site_type_symbol
_atom_site_fract_x
_atom_site_fract_y
_atom_site_fract_z
Ba1 Ba 0.016 0.218 0.150
Zn1 Zn 0.255 0.079 0.905
Se1 Se 0.292 0.566 0.170
Se2 Se 0.457 0.632 0.834
O1 O 0.091 0.649 0.689
O2 O 0.125 0.655 0.105
O3 O 0.193 0.532 0.316
O4 O 0.357 0.089 0.163
O5 O 0.447 0.218 0.543
O6 O 0.449 0.151 0.823


Record 2
# Mg3In (GGA-PBE, relaxed)
# DFT formation energy	-8	kJ per mole of atoms
# volume	1092.3	Å³ per cell
data_Mg3In
_chemical_formula_sum 'Mg36 In12'
_cell_length_a 6.3077
_cell_length_b 6.3077
_cell_length_c 31.7010
_cell_angle_alpha 90.00
_cell_angle_beta 90.00
_cell_angle_gamma 120.00
_space_group_name_H-M_alt 'R -3 m'
_space_group_IT_number 166
_space_group_name_Hall '-R 3 2"'
loop_
_atom_site_label
_atom_site_type_symbol
_atom_site_fract_x
_atom_site_fract_y
_atom_site_fract_z
Mg1 Mg 0.0000 0.5000 0.1251
Mg2 Mg 0.0001 0.5000 0.2915
In1 In 0.0000 0.0000 0.1252
In2 In 0.0000 0.0000 0.2916